VASP calculation (PBE) on crystalline HoHSO5 at its relaxed geometry.

```
data_HoHSO5
_chemical_formula_sum 'Ho8 H8 S8 O40'
_cell_length_a 8.019
_cell_length_b 11.015
_cell_length_c 11.055
_cell_angle_alpha 90.00
_cell_angle_beta 132.39
_cell_angle_gamma 90.00
_symmetry_space_group_name_H-M 'P 1 21/c 1'
_symmetry_Int_Tables_number 14
loop_
_symmetry_equiv_pos_as_xyz
'x,y,z'
'-x,-y,-z'
'-x,y+1/2,-z+1/2'
'x,-y+1/2,z+1/2'
loop_
_atom_site_label
_atom_site_fract_x
_atom_site_fract_y
_atom_site_fract_z
Ho1 0.212 0.063 0.373
Ho2 0.279 0.575 0.591
H1 0.041 0.118 0.880
H2 0.456 0.587 0.144
S1 0.134 0.170 0.635
S2 0.410 0.691 0.366
O1 0.031 0.543 0.630
O2 0.047 0.594 0.901
O3 0.096 0.200 0.157
O4 0.124 0.171 0.496
O5 0.231 0.627 0.351
O6 0.319 0.738 0.205
O7 0.356 0.126 0.783
O8 0.406 0.104 0.072
O9 0.484 0.011 0.358
O10 0.495 0.706 0.981
```

Summary:
E   -6.722 eV/atom
Calculated formation energy   -2.545 eV per atom
Crystal system   monoclinic
Total magnetization   0.0 μB/f.u.